No. 1
## TcH2NO2 (PBE)

Data for a relaxed TcH2NO2 crystal.

Cell and atoms, written as CIF:
```
data_TcH2NO2
_chemical_formula_sum 'Tc4 H8 N4 O8'
_cell_length_a 7.694
_cell_length_b 7.694
_cell_length_c 7.694
_cell_angle_alpha 133.25
_cell_angle_beta 133.25
_cell_angle_gamma 68.27
_symmetry_space_group_name_H-M 'P 1'
_symmetry_Int_Tables_number 1
loop_
_symmetry_equiv_pos_as_xyz
'x,y,z'
loop_
_atom_site_label
_atom_site_fract_x
_atom_site_fract_y
_atom_site_fract_z
Tc1 0.000 0.000 0.000
Tc2 0.500 0.000 0.000
Tc3 0.500 0.000 0.500
Tc4 0.500 0.500 0.500
H1 0.076 0.599 0.015
H2 0.084 0.061 0.485
H3 0.099 0.584 0.523
H4 0.439 0.424 0.023
H5 0.561 0.576 0.977
H6 0.901 0.416 0.477
H7 0.916 0.939 0.515
H8 0.924 0.401 0.985
N1 0.000 0.000 0.500
N2 0.000 0.500 0.000
N3 0.000 0.500 0.500
N4 0.500 0.500 0.000
O1 0.206 0.776 0.053
O2 0.223 0.152 0.447
O3 0.276 0.723 0.570
O4 0.348 0.294 0.070
O5 0.652 0.706 0.930
O6 0.724 0.277 0.430
O7 0.777 0.848 0.553
O8 0.794 0.224 0.947
```

No. 2
## SrP11H28N9 (PBE)

Data for a relaxed SrP11H28N9 crystal.

Cell and atoms, written as CIF:
```
data_SrP11H28N9
_chemical_formula_sum 'Sr4 P44 H112 N36'
_cell_length_a 19.472
_cell_length_b 14.125
_cell_length_c 9.986
_cell_angle_alpha 90.00
_cell_angle_beta 90.00
_cell_angle_gamma 90.00
_symmetry_space_group_name_H-M 'P 1'
_symmetry_Int_Tables_number 1
loop_
_symmetry_equiv_pos_as_xyz
'x,y,z'
loop_
_atom_site_label
_atom_site_fract_x
_atom_site_fract_y
_atom_site_fract_z
Sr1 0.180 0.165 0.000
Sr2 0.320 0.665 0.500
Sr3 0.680 0.335 0.000
Sr4 0.820 0.835 0.500
P1 0.027 0.596 0.838
P2 0.028 0.217 0.555
P3 0.031 0.358 0.650
P4 0.032 0.753 0.863
P5 0.045 0.852 0.189
P6 0.066 0.427 0.463
P7 0.082 0.608 0.170
P8 0.109 0.543 0.970
P9 0.129 0.755 0.151
P10 0.144 0.766 0.930
P11 0.191 0.630 0.888
P12 0.309 0.130 0.388
P13 0.356 0.266 0.430
P14 0.371 0.255 0.651
P15 0.391 0.043 0.470
P16 0.418 0.108 0.670
P17 0.434 0.927 0.963
P18 0.455 0.352 0.689
P19 0.468 0.253 0.363
P20 0.469 0.858 0.150
P21 0.472 0.717 0.055
P22 0.473 0.096 0.338
P23 0.527 0.904 0.838
P24 0.528 0.283 0.555
P25 0.531 0.142 0.650
P26 0.532 0.747 0.863
P27 0.545 0.648 0.189
P28 0.566 0.073 0.463
P29 0.582 0.892 0.170
P30 0.609 0.957 0.970
P31 0.629 0.745 0.151
P32 0.644 0.734 0.930
P33 0.691 0.870 0.888
P34 0.809 0.370 0.388
P35 0.856 0.234 0.430
P36 0.871 0.245 0.651
P37 0.891 0.457 0.470
P38 0.918 0.392 0.670
P39 0.934 0.573 0.963
P40 0.955 0.148 0.689
P41 0.968 0.247 0.363
P42 0.969 0.642 0.150
P43 0.972 0.783 0.055
P44 0.973 0.404 0.338
H1 0.024 0.235 0.927
H2 0.031 0.256 0.089
H3 0.044 0.062 0.867
H4 0.048 0.523 0.496
H5 0.062 0.331 0.981
H6 0.062 0.997 0.000
H7 0.086 0.997 0.552
H8 0.089 0.895 0.478
H9 0.097 0.145 0.293
H10 0.101 0.977 0.859
H11 0.103 0.039 0.230
H12 0.151 0.656 0.450
H13 0.160 0.760 0.519
H14 0.160 0.949 0.518
H15 0.164 0.666 0.613
H16 0.165 0.321 0.256
H17 0.170 0.088 0.304
H18 0.174 0.381 0.862
H19 0.192 0.135 0.667
H20 0.193 0.307 0.741
H21 0.198 0.032 0.738
H22 0.200 0.379 0.133
H23 0.208 0.941 0.077
H24 0.226 0.465 0.482
H25 0.227 0.502 0.637
H26 0.234 0.600 0.224
H27 0.246 0.841 0.342
H28 0.247 0.311 0.231
H29 0.253 0.811 0.731
H30 0.254 0.341 0.842
H31 0.266 0.100 0.724
H32 0.273 0.002 0.137
H33 0.274 0.965 0.982
H34 0.292 0.441 0.577
H35 0.300 0.879 0.633
H36 0.302 0.532 0.238
H37 0.307 0.807 0.241
H38 0.308 0.635 0.167
H39 0.326 0.881 0.362
H40 0.330 0.588 0.804
H41 0.335 0.821 0.756
H42 0.336 0.166 0.113
H43 0.340 0.260 0.019
H44 0.340 0.449 0.018
H45 0.349 0.156 0.950
H46 0.397 0.539 0.730
H47 0.399 0.477 0.359
H48 0.403 0.645 0.793
H49 0.411 0.395 0.978
H50 0.414 0.497 0.052
H51 0.438 0.497 0.500
H52 0.438 0.831 0.481
H53 0.452 0.023 0.996
H54 0.456 0.562 0.367
H55 0.469 0.756 0.589
H56 0.476 0.735 0.427
H57 0.524 0.265 0.927
H58 0.531 0.244 0.089
H59 0.544 0.438 0.867
H60 0.548 0.977 0.496
H61 0.562 0.169 0.981
H62 0.562 0.503 0.000
H63 0.586 0.503 0.552
H64 0.589 0.605 0.478
H65 0.597 0.355 0.293
H66 0.601 0.523 0.859
H67 0.603 0.461 0.230
H68 0.651 0.844 0.450
H69 0.660 0.551 0.518
H70 0.660 0.740 0.519
H71 0.664 0.834 0.613
H72 0.665 0.179 0.256
H73 0.670 0.412 0.304
H74 0.674 0.119 0.862
H75 0.692 0.365 0.667
H76 0.693 0.193 0.741
H77 0.698 0.468 0.738
H78 0.700 0.121 0.133
H79 0.708 0.559 0.077
H80 0.726 0.035 0.482
H81 0.727 0.998 0.637
H82 0.734 0.900 0.224
H83 0.746 0.659 0.342
H84 0.747 0.189 0.231
H85 0.753 0.689 0.731
H86 0.754 0.159 0.842
H87 0.766 0.400 0.724
H88 0.773 0.498 0.137
H89 0.774 0.535 0.982
H90 0.792 0.059 0.577
H91 0.800 0.621 0.633
H92 0.802 0.968 0.238
H93 0.807 0.693 0.241
H94 0.808 0.865 0.167
H95 0.826 0.619 0.362
H96 0.830 0.912 0.804
H97 0.835 0.679 0.756
H98 0.836 0.334 0.113
H99 0.840 0.051 0.018
H100 0.840 0.240 0.019
H101 0.849 0.344 0.950
H102 0.897 0.961 0.730
H103 0.899 0.023 0.359
H104 0.903 0.855 0.793
H105 0.911 0.105 0.978
H106 0.914 0.003 0.052
H107 0.938 0.003 0.500
H108 0.938 0.669 0.481
H109 0.952 0.477 0.996
H110 0.956 0.938 0.367
H111 0.969 0.744 0.589
H112 0.976 0.765 0.427
N1 0.056 0.260 0.000
N2 0.084 0.031 0.919
N3 0.112 0.934 0.552
N4 0.129 0.101 0.241
N5 0.178 0.692 0.521
N6 0.201 0.315 0.183
N7 0.203 0.322 0.839
N8 0.214 0.100 0.746
N9 0.243 0.993 0.054
N10 0.257 0.493 0.554
N11 0.286 0.600 0.246
N12 0.297 0.822 0.339
N13 0.299 0.815 0.683
N14 0.322 0.192 0.021
N15 0.371 0.601 0.741
N16 0.388 0.434 0.052
N17 0.416 0.531 0.419
N18 0.444 0.760 0.500
N19 0.556 0.240 0.000
N20 0.584 0.469 0.919
N21 0.612 0.566 0.552
N22 0.629 0.399 0.241
N23 0.678 0.808 0.521
N24 0.701 0.185 0.183
N25 0.703 0.178 0.839
N26 0.714 0.400 0.746
N27 0.743 0.507 0.054
N28 0.757 0.007 0.554
N29 0.786 0.900 0.246
N30 0.797 0.678 0.339
N31 0.799 0.685 0.683
N32 0.822 0.308 0.021
N33 0.871 0.899 0.741
N34 0.888 0.066 0.052
N35 0.916 0.969 0.419
N36 0.944 0.740 0.500
```

No. 3
## H3PbS2N3 (PBE)

Data for a relaxed H3PbS2N3 crystal.

Cell and atoms, written as CIF:
```
data_H3PbS2N3
_chemical_formula_sum 'H12 Pb4 S8 N12'
_cell_length_a 6.240
_cell_length_b 16.723
_cell_length_c 5.897
_cell_angle_alpha 90.00
_cell_angle_beta 91.49
_cell_angle_gamma 90.00
_symmetry_space_group_name_H-M 'P 1'
_symmetry_Int_Tables_number 1
loop_
_symmetry_equiv_pos_as_xyz
'x,y,z'
loop_
_atom_site_label
_atom_site_fract_x
_atom_site_fract_y
_atom_site_fract_z
H1 0.022 0.159 0.029
H2 0.022 0.341 0.529
H3 0.175 0.719 0.556
H4 0.175 0.781 0.056
H5 0.217 0.653 0.355
H6 0.217 0.847 0.855
H7 0.783 0.153 0.145
H8 0.783 0.347 0.645
H9 0.825 0.219 0.944
H10 0.825 0.281 0.444
H11 0.978 0.659 0.471
H12 0.978 0.841 0.971
Pb1 0.223 0.558 0.812
Pb2 0.223 0.942 0.312
Pb3 0.777 0.058 0.688
Pb4 0.777 0.442 0.188
S1 0.346 0.044 0.786
S2 0.346 0.456 0.286
S3 0.380 0.174 0.476
S4 0.380 0.326 0.976
S5 0.620 0.674 0.024
S6 0.620 0.826 0.524
S7 0.654 0.544 0.714
S8 0.654 0.956 0.214
N1 0.139 0.662 0.504
N2 0.139 0.838 0.004
N3 0.234 0.119 0.628
N4 0.234 0.381 0.128
N5 0.378 0.661 0.025
N6 0.378 0.839 0.525
N7 0.622 0.161 0.475
N8 0.622 0.339 0.975
N9 0.766 0.619 0.872
N10 0.766 0.881 0.372
N11 0.861 0.162 0.996
N12 0.861 0.338 0.496
```

No. 4
## RbH2N (PBE)

Data for a relaxed RbH2N crystal.

Cell and atoms, written as CIF:
```
data_RbH2N
_chemical_formula_sum 'Rb2 H4 N2'
_cell_length_a 4.883
_cell_length_b 4.227
_cell_length_c 6.464
_cell_angle_alpha 90.00
_cell_angle_beta 98.51
_cell_angle_gamma 90.00
_symmetry_space_group_name_H-M 'P 1'
_symmetry_Int_Tables_number 1
loop_
_symmetry_equiv_pos_as_xyz
'x,y,z'
loop_
_atom_site_label
_atom_site_fract_x
_atom_site_fract_y
_atom_site_fract_z
Rb1 0.195 0.250 0.296
Rb2 0.805 0.750 0.704
H1 0.344 0.062 0.846
H2 0.344 0.438 0.846
H3 0.656 0.562 0.154
H4 0.656 0.938 0.154
N1 0.264 0.250 0.754
N2 0.736 0.750 0.246
```

No. 5
## Rb2SnH12N6 (PBE)

Data for a relaxed Rb2SnH12N6 crystal.

Cell and atoms, written as CIF:
```
data_Rb2SnH12N6
_chemical_formula_sum 'Rb2 Sn1 H12 N6'
_cell_length_a 6.793
_cell_length_b 6.793
_cell_length_c 5.717
_cell_angle_alpha 90.00
_cell_angle_beta 90.00
_cell_angle_gamma 120.00
_symmetry_space_group_name_H-M 'P 1'
_symmetry_Int_Tables_number 1
loop_
_symmetry_equiv_pos_as_xyz
'x,y,z'
loop_
_atom_site_label
_atom_site_fract_x
_atom_site_fract_y
_atom_site_fract_z
Rb1 0.333 0.667 0.205
Rb2 0.667 0.333 0.795
Sn1 0.000 0.000 0.000
H1 0.055 0.255 0.611
H2 0.150 0.735 0.783
H3 0.200 0.945 0.611
H4 0.255 0.200 0.389
H5 0.265 0.415 0.783
H6 0.415 0.150 0.217
H7 0.585 0.850 0.783
H8 0.735 0.585 0.217
H9 0.745 0.800 0.611
H10 0.800 0.055 0.389
H11 0.850 0.265 0.217
H12 0.945 0.745 0.389
N1 0.092 0.306 0.782
N2 0.213 0.908 0.782
N3 0.306 0.213 0.218
N4 0.694 0.787 0.782
N5 0.787 0.092 0.218
N6 0.908 0.694 0.218
```

No. 6
## SbH36S4N11 (PBE)

Data for a relaxed SbH36S4N11 crystal.

Cell and atoms, written as CIF:
```
data_SbH36S4N11
_chemical_formula_sum 'Sb2 H72 S8 N22'
_cell_length_a 8.720
_cell_length_b 12.917
_cell_length_c 9.757
_cell_angle_alpha 90.00
_cell_angle_beta 99.85
_cell_angle_gamma 90.00
_symmetry_space_group_name_H-M 'P 1'
_symmetry_Int_Tables_number 1
loop_
_symmetry_equiv_pos_as_xyz
'x,y,z'
loop_
_atom_site_label
_atom_site_fract_x
_atom_site_fract_y
_atom_site_fract_z
Sb1 0.216 0.000 0.323
Sb2 0.784 0.500 0.677
H1 0.005 0.318 0.013
H2 0.009 0.237 0.145
H3 0.013 0.188 0.490
H4 0.019 0.760 0.376
H5 0.030 0.512 0.137
H6 0.033 0.128 0.834
H7 0.045 0.950 0.618
H8 0.048 0.083 0.994
H9 0.061 0.380 0.281
H10 0.075 0.354 0.454
H11 0.151 0.471 0.397
H12 0.157 0.213 0.613
H13 0.170 0.268 0.097
H14 0.197 0.719 0.719
H15 0.231 0.444 0.720
H16 0.243 0.982 0.915
H17 0.275 0.646 0.373
H18 0.280 0.523 0.984
H19 0.281 0.815 0.647
H20 0.283 0.428 0.094
H21 0.284 0.600 0.529
H22 0.307 0.894 0.038
H23 0.308 0.862 0.866
H24 0.350 0.379 0.621
H25 0.353 0.345 0.790
H26 0.366 0.538 0.146
H27 0.371 0.158 0.796
H28 0.380 0.256 0.422
H29 0.387 0.722 0.731
H30 0.401 0.187 0.963
H31 0.415 0.565 0.438
H32 0.426 0.464 0.750
H33 0.437 0.376 0.404
H34 0.440 0.950 0.950
H35 0.471 0.805 0.472
H36 0.473 0.725 0.137
H37 0.527 0.225 0.863
H38 0.529 0.305 0.528
H39 0.560 0.450 0.050
H40 0.563 0.876 0.596
H41 0.574 0.964 0.250
H42 0.585 0.065 0.562
H43 0.599 0.687 0.037
H44 0.613 0.222 0.269
H45 0.620 0.756 0.578
H46 0.629 0.658 0.204
H47 0.634 0.038 0.854
H48 0.647 0.845 0.210
H49 0.650 0.879 0.379
H50 0.692 0.362 0.134
H51 0.693 0.394 0.962
H52 0.716 0.100 0.471
H53 0.717 0.928 0.906
H54 0.719 0.315 0.353
H55 0.720 0.023 0.016
H56 0.725 0.146 0.627
H57 0.757 0.482 0.085
H58 0.769 0.944 0.280
H59 0.803 0.219 0.281
H60 0.830 0.768 0.903
H61 0.843 0.713 0.387
H62 0.849 0.971 0.603
H63 0.925 0.854 0.546
H64 0.939 0.880 0.719
H65 0.952 0.583 0.006
H66 0.955 0.450 0.382
H67 0.967 0.628 0.166
H68 0.970 0.012 0.863
H69 0.981 0.260 0.624
H70 0.987 0.688 0.510
H71 0.991 0.737 0.855
H72 0.995 0.818 0.987
S1 0.041 0.563 0.746
S2 0.224 0.827 0.240
S3 0.287 0.009 0.567
S4 0.390 0.101 0.218
S5 0.610 0.601 0.782
S6 0.713 0.509 0.433
S7 0.776 0.327 0.760
S8 0.959 0.063 0.254
N1 0.058 0.063 0.894
N2 0.059 0.245 0.557
N3 0.061 0.415 0.378
N4 0.065 0.300 0.111
N5 0.291 0.767 0.732
N6 0.298 0.579 0.431
N7 0.325 0.922 0.942
N8 0.338 0.409 0.721
N9 0.349 0.486 0.065
N10 0.411 0.215 0.866
N11 0.420 0.322 0.476
N12 0.580 0.822 0.524
N13 0.589 0.715 0.134
N14 0.651 0.986 0.935
N15 0.662 0.909 0.279
N16 0.675 0.422 0.058
N17 0.702 0.079 0.569
N18 0.709 0.267 0.268
N19 0.935 0.800 0.889
N20 0.939 0.915 0.622
N21 0.941 0.745 0.443
N22 0.942 0.563 0.106
```

Summary of DFT formation energy in eV/atom
0.0816, -0.3835, -0.1353, -0.4114, -0.3949, -0.4579
(order as listed above)
Summary of volume in Å³ per cell
237.4, 2746.6, 615.2, 131.9, 228.5, 1082.7
(order as listed above)